VASP calculation (meta-GGA r2SCAN) on an optimized crystal structure of InRh3.

It has space group P6_3/mmc (No. 194), with a = 5.5780 Å, b = 5.5780 Å, c = 4.5070 Å, α = 90.00°, β = 90.00° and γ = 120.00°. The distinct sites, in fractional coordinates, are In at (0.3333, 0.6667, 0.2500) and Rh at (0.1628, 0.3256, 0.7500).

The value obtained for the calculated formation energy is -19 kJ per mole of atoms. Its total energy is -23.94 eV/atom. The value obtained for the density is 11582 kg/m3.